Model i:
# Ba2LiEuCu4O8

Ba2LiEuCu4O8 after structural relaxation (PBE-GGA, the Materials Project).

Results
* calculated volume: 219.5 Å³ per cell
* magnetic moment: 0.456 μB per atom

The structure in POSCAR format:
```
Ba2LiEuCu4O8
1.0
0.000 0.000 3.846
3.936 -0.022 0.000
-2.039 14.510 0.000
Ba Li Eu Cu O
2 1 1 4 8
Direct
0.500 0.364 0.744
0.500 0.636 0.256
0.500 0.000 0.500
0.500 0.500 0.000
0.000 0.061 0.115
0.000 0.939 0.885
0.000 0.233 0.422
0.000 0.767 0.578
0.000 0.163 0.295
0.000 0.837 0.705
0.000 0.443 0.892
0.000 0.557 0.108
0.000 0.263 0.556
0.000 0.737 0.444
0.500 0.056 0.107
0.500 0.944 0.893
```


Model ii:
# Ba2LiEuCu4O8

Ba2LiEuCu4O8 after structural relaxation (PBE-GGA, the Materials Project).

Results
* calculated volume: 237.7 Å³ per cell
* magnetic moment: 0.398 μB per atom

The structure in POSCAR format:
```
Ba2LiEuCu4O8
1.0
0.000 0.000 3.873
3.925 0.001 0.000
-1.962 15.637 0.000
Ba Li Eu Cu O
2 1 1 4 8
Direct
0.500 0.329 0.662
0.500 0.638 0.277
0.500 0.439 0.874
0.500 0.519 0.039
0.000 0.071 0.142
0.000 0.956 0.910
0.000 0.207 0.414
0.000 0.771 0.543
0.000 0.148 0.296
0.000 0.831 0.664
0.000 0.459 0.915
0.000 0.564 0.129
0.000 0.267 0.536
0.000 0.711 0.422
0.500 0.064 0.129
0.500 0.959 0.915
```


Model iii:
# Ba2LiEuCu4O8

Ba2LiEuCu4O8 after structural relaxation (PBE-GGA, the Materials Project).

Results
* calculated volume: 221.6 Å³ per cell
* magnetic moment: 0.384 μB per atom

The structure in POSCAR format:
```
Ba2LiEuCu4O8
1.0
-0.409 -1.184 3.850
-0.834 3.726 1.205
-12.899 -4.158 -2.724
Ba Li Eu Cu O
2 1 1 4 8
Direct
0.487 0.351 0.724
0.487 0.626 0.276
0.168 0.166 0.000
0.576 0.572 0.000
0.985 0.055 0.142
0.985 0.913 0.858
0.996 0.210 0.428
0.996 0.782 0.572
0.994 0.142 0.294
0.994 0.849 0.706
0.013 0.431 0.889
0.013 0.541 0.111
0.998 0.279 0.565
0.998 0.713 0.435
0.488 0.067 0.112
0.488 0.955 0.888
```


Which of them is most stable, and which least? Most stable: model i; least stable: model iii.


Model i:
# Ba2LiEuCu4O8

Ba2LiEuCu4O8 after structural relaxation (PBE-GGA, the Materials Project).

Results
* calculated volume: 236.6 Å³ per cell
* magnetic moment: 0.426 μB per atom

The structure in POSCAR format:
```
Ba2LiEuCu4O8
1.0
3.231 2.375 -0.128
-1.219 1.831 3.227
7.734 -10.077 8.179
Ba Li Eu Cu O
2 1 1 4 8
Direct
0.500 0.377 0.729
0.500 0.423 0.211
0.000 0.840 0.350
0.500 0.415 0.972
0.000 0.926 0.084
0.000 0.901 0.866
0.000 0.342 0.455
0.000 0.857 0.590
0.000 0.331 0.325
0.000 0.872 0.712
0.000 0.402 0.878
0.000 0.426 0.084
0.000 0.355 0.581
0.000 0.843 0.467
0.500 0.926 0.091
0.500 0.904 0.877
```


Model ii:
# Ba2LiEuCu4O8

Ba2LiEuCu4O8 after structural relaxation (PBE-GGA, the Materials Project).

Results
* calculated volume: 222.5 Å³ per cell
* magnetic moment: 0.458 μB per atom

The structure in POSCAR format:
```
Ba2LiEuCu4O8
1.0
0.006 0.257 3.894
3.935 -0.258 0.010
-2.839 14.766 0.851
Ba Li Eu Cu O
2 1 1 4 8
Direct
0.503 0.361 0.727
0.695 0.467 0.315
0.267 0.824 0.173
0.383 0.604 0.982
0.820 0.225 0.098
0.937 0.995 0.870
0.139 0.086 0.441
0.071 0.721 0.581
0.202 0.958 0.308
0.011 0.843 0.708
0.930 0.507 0.883
0.816 0.732 0.106
0.076 0.212 0.571
0.133 0.595 0.449
0.317 0.230 0.104
0.431 0.007 0.883
```


Which of them is most stable, and which least? Most stable: model ii; least stable: model i.


Model i:
# Ba2LaMgTaCu2O8

Ba2LaMgTaCu2O8 after structural relaxation (PBE-GGA, the Materials Project).

Results
* calculated volume: 228.7 Å³ per cell
* magnetic moment: 0.000 μB per atom

The structure in POSCAR format:
```
Ba2LaMgTaCu2O8
1.0
4.098 0.002 0.000
0.002 4.098 0.000
0.000 0.000 13.617
Ba La Mg Ta Cu O
2 1 1 1 2 8
Direct
0.500 0.500 0.246
0.500 0.500 0.754
0.500 0.500 0.500
0.500 0.500 0.000
0.000 0.000 0.000
0.000 0.000 0.611
0.000 0.000 0.389
0.000 0.000 0.144
0.500 0.000 0.618
0.000 0.500 0.618
0.000 0.500 0.382
0.500 0.000 0.382
0.500 0.000 0.000
0.000 0.000 0.856
0.000 0.500 0.000
```


Model ii:
# Ba2LaMgTaCu2O8

Ba2LaMgTaCu2O8 after structural relaxation (PBE-GGA, the Materials Project).

Results
* calculated volume: 232.7 Å³ per cell
* magnetic moment: 0.000 μB per atom

The structure in POSCAR format:
```
Ba2LaMgTaCu2O8
1.0
-3.692 2.268 -1.075
-0.653 -2.171 -3.842
-6.524 -7.962 5.610
Ba La Mg Ta Cu O
2 1 1 1 2 8
Direct
0.409 0.410 0.194
0.409 0.410 0.806
0.635 0.634 0.500
0.198 0.198 0.500
0.929 0.929 0.000
0.915 0.916 0.686
0.915 0.915 0.314
0.015 0.015 0.158
0.533 0.074 0.617
0.074 0.533 0.617
0.074 0.533 0.383
0.533 0.074 0.383
0.508 0.986 0.000
0.015 0.015 0.842
0.986 0.508 0.000
```


Which of them is most stable, and which least? Most stable: model ii; least stable: model i.